[1]
## K2TlFeF6 (PBE+U)

Data for a geometry-optimized K2TlFeF6 structure.

a = 6.4831 Å, b = 6.4831 Å, c = 6.4831 Å
α = 60.00°, β = 60.00°, γ = 60.00°
Element x y z (fractional)
1 K 0.2500 0.2500 0.2500
2 K 0.7500 0.7500 0.7500
3 Tl 0.5000 0.5000 0.5000
4 Fe 0.0000 0.0000 0.0000
5 F 0.2145 0.7855 0.2145
6 F 0.7855 0.7855 0.2145
7 F 0.7855 0.2145 0.7855
8 F 0.7855 0.2145 0.2145
9 F 0.2145 0.7855 0.7855
10 F 0.2145 0.2145 0.7855

Values from the calculation:
E = -4.630 eV/atom


[2]
## LiFeF3 (PBE+U)

Data for a geometry-optimized LiFeF3 structure.

a = 8.9801 Å, b = 5.6729 Å, c = 10.2674 Å
α = 75.33°, β = 90.00°, γ = 90.00°
Element x y z (fractional)
1 Li 0.1671 0.2379 0.9569
2 Li 0.3329 0.7379 0.9569
3 Li 0.3305 0.1458 0.5622
4 Li 0.1695 0.6458 0.5622
5 Li 0.8305 0.3542 0.4378
6 Li 0.6695 0.8542 0.4378
7 Li 0.6671 0.2621 0.0431
8 Li 0.8329 0.7621 0.0431
9 Fe 0.0331 0.0621 0.7418
10 Fe 0.6549 0.0597 0.7424
11 Fe 0.4669 0.5621 0.7418
12 Fe 0.8451 0.5597 0.7424
13 Fe 0.1549 0.4403 0.2576
14 Fe 0.5331 0.4379 0.2582
15 Fe 0.3451 0.9403 0.2576
16 Fe 0.9669 0.9379 0.2582
17 F 0.1805 0.9546 0.8910
18 F 0.9901 0.3340 0.8548
19 F 0.6572 0.3448 0.8482
20 F 0.3195 0.4546 0.8910
21 F 0.5099 0.8340 0.8548
22 F 0.8428 0.8448 0.8482
23 F 0.4854 0.2844 0.6435
24 F 0.8308 0.2593 0.6371
25 F 0.1567 0.3022 0.6031
26 F 0.0146 0.7844 0.6435
27 F 0.6692 0.7593 0.6371
28 F 0.3433 0.8022 0.6031
29 F 0.6567 0.1978 0.3969
30 F 0.3308 0.2407 0.3629
31 F 0.9854 0.2156 0.3565
32 F 0.8433 0.6978 0.3969
33 F 0.1692 0.7407 0.3629
34 F 0.5146 0.7156 0.3565
35 F 0.1572 0.1552 0.1518
36 F 0.4901 0.1660 0.1452
37 F 0.6805 0.5454 0.1090
38 F 0.3428 0.6552 0.1518
39 F 0.0099 0.6660 0.1452
40 F 0.8195 0.0454 0.1090

Values from the calculation:
E = -5.275 eV/atom


[3]
## LiFe2F5 (PBE+U)

Data for a geometry-optimized LiFe2F5 structure.

a = 6.3156 Å, b = 8.0471 Å, c = 8.8578 Å
α = 105.91°, β = 91.09°, γ = 101.25°
Element x y z (fractional)
1 Li 0.7942 0.2089 0.4392
2 Li 0.3070 0.2113 0.1672
3 Li 0.6930 0.7887 0.8328
4 Li 0.2058 0.7911 0.5608
5 Fe 0.5458 0.1869 0.7942
6 Fe 0.0416 0.1699 0.7928
7 Fe 0.3399 0.3937 0.5832
8 Fe 0.8545 0.3927 0.1144
9 Fe 0.1455 0.6073 0.8856
10 Fe 0.6601 0.6063 0.4168
11 Fe 0.9584 0.8301 0.2072
12 Fe 0.4542 0.8131 0.2058
13 F 0.7437 0.0018 0.7690
14 F 0.2540 0.0016 0.7320
15 F 0.7460 0.9984 0.2680
16 F 0.2563 0.9982 0.2310
17 F 0.5593 0.2223 0.5768
18 F 0.8691 0.3918 0.8668
19 F 0.0467 0.2189 0.5719
20 F 0.3260 0.3847 0.8273
21 F 0.5531 0.2328 0.0333
22 F 0.8307 0.3979 0.3452
23 F 0.0593 0.2174 0.0370
24 F 0.3810 0.4043 0.3539
25 F 0.6190 0.5957 0.6461
26 F 0.9407 0.7826 0.9630
27 F 0.1693 0.6021 0.6548
28 F 0.4469 0.7672 0.9667
29 F 0.6740 0.6153 0.1727
30 F 0.9533 0.7811 0.4281
31 F 0.1309 0.6082 0.1332
32 F 0.4407 0.7777 0.4232

Values from the calculation:
E = -5.386 eV/atom


[4]
## Li5FeF8 (PBE+U)

Data for a geometry-optimized Li5FeF8 structure.

a = 5.1254 Å, b = 5.1254 Å, c = 6.0060 Å
α = 90.00°, β = 90.00°, γ = 110.19°
Element x y z (fractional)
1 Li 0.5000 0.0000 0.7751
2 Li 0.5000 0.0000 0.2249
3 Li 0.5000 0.5000 0.0000
4 Li 0.0000 0.5000 0.7751
5 Li 0.0000 0.5000 0.2249
6 Fe 0.5000 0.5000 0.5000
7 F 0.7336 0.2664 0.0000
8 F 0.7327 0.2673 0.5000
9 F 0.2760 0.2760 0.7392
10 F 0.7240 0.7240 0.7392
11 F 0.2760 0.2760 0.2608
12 F 0.7240 0.7240 0.2608
13 F 0.2673 0.7327 0.5000
14 F 0.2664 0.7336 0.0000

Values from the calculation:
E = -4.948 eV/atom


[5]
## Li5Fe3F14 (PBE+U)

Data for a geometry-optimized Li5Fe3F14 structure.

a = 7.2586 Å, b = 11.6040 Å, c = 12.5912 Å
α = 90.00°, β = 90.00°, γ = 90.00°
Element x y z (fractional)
1 Li 0.0001 0.0098 0.0069
2 Li 0.8074 0.0978 0.2781
3 Li 0.3199 0.0988 0.2751
4 Li 0.8149 0.2179 0.0110
5 Li 0.8361 0.2124 0.4946
6 Li 0.3361 0.2876 0.9946
7 Li 0.3149 0.2821 0.5110
8 Li 0.8199 0.4012 0.7751
9 Li 0.3074 0.4022 0.7781
10 Li 0.5001 0.4902 0.5069
11 Li 0.4999 0.5098 0.0069
12 Li 0.6926 0.5978 0.2781
13 Li 0.1801 0.5988 0.2751
14 Li 0.6851 0.7179 0.0110
15 Li 0.6639 0.7124 0.4946
16 Li 0.1639 0.7876 0.9946
17 Li 0.1851 0.7821 0.5110
18 Li 0.6801 0.9012 0.7751
19 Li 0.1926 0.9022 0.7781
20 Li 0.9999 0.9902 0.5069
21 Fe 0.5030 0.0012 0.4950
22 Fe 0.9986 0.1487 0.7513
23 Fe 0.4956 0.1682 0.7457
24 Fe 0.9956 0.3318 0.2457
25 Fe 0.4986 0.3513 0.2513
26 Fe 0.0030 0.4988 0.9950
27 Fe 0.9970 0.5012 0.4950
28 Fe 0.5014 0.6487 0.7513
29 Fe 0.0044 0.6682 0.7457
30 Fe 0.5044 0.8318 0.2457
31 Fe 0.0014 0.8513 0.2513
32 Fe 0.4970 0.9988 0.9950
33 F 0.9226 0.9866 0.7549
34 F 0.7392 0.0655 0.4413
35 F 0.7300 0.0650 0.0393
36 F 0.5674 0.0439 0.8448
37 F 0.5773 0.0579 0.6378
38 F 0.3637 0.1368 0.4553
39 F 0.3622 0.1341 0.0298
40 F 0.2547 0.0864 0.7465
41 F 0.9961 0.1403 0.9064
42 F 0.9941 0.1346 0.5947
43 F 0.5790 0.1911 0.2512
44 F 0.9408 0.2257 0.3562
45 F 0.9310 0.2187 0.1450
46 F 0.7523 0.2287 0.7504
47 F 0.2523 0.2713 0.2504
48 F 0.4310 0.2813 0.6450
49 F 0.4408 0.2743 0.8562
50 F 0.0790 0.3089 0.7512
51 F 0.4941 0.3654 0.0947
52 F 0.4961 0.3597 0.4064
53 F 0.8622 0.3659 0.5298
54 F 0.7547 0.4136 0.2465
55 F 0.8637 0.3632 0.9553
56 F 0.0773 0.4421 0.1378
57 F 0.0674 0.4561 0.3448
58 F 0.2300 0.4350 0.5393
59 F 0.2392 0.4345 0.9413
60 F 0.4226 0.5134 0.2549
61 F 0.5774 0.4866 0.7549
62 F 0.7608 0.5655 0.4413
63 F 0.7700 0.5650 0.0393
64 F 0.9326 0.5439 0.8448
65 F 0.9227 0.5579 0.6378
66 F 0.1363 0.6368 0.4553
67 F 0.1378 0.6341 0.0298
68 F 0.2453 0.5864 0.7465
69 F 0.5039 0.6403 0.9064
70 F 0.5059 0.6346 0.5947
71 F 0.9210 0.6911 0.2512
72 F 0.5592 0.7257 0.3562
73 F 0.5690 0.7187 0.1450
74 F 0.7477 0.7287 0.7504
75 F 0.2477 0.7713 0.2504
76 F 0.0690 0.7813 0.6450
77 F 0.0592 0.7743 0.8562
78 F 0.4210 0.8089 0.7512
79 F 0.0059 0.8654 0.0947
80 F 0.0039 0.8597 0.4064
81 F 0.6378 0.8659 0.5298
82 F 0.7453 0.9136 0.2465
83 F 0.6363 0.8632 0.9553
84 F 0.4227 0.9421 0.1378
85 F 0.4326 0.9561 0.3448
86 F 0.2700 0.9350 0.5393
87 F 0.2608 0.9345 0.9413
88 F 0.0774 0.0134 0.2549

Values from the calculation:
E = -5.058 eV/atom


[6]
## LiFeF3 (PBE+U)

Data for a geometry-optimized LiFeF3 structure.

a = 7.5396 Å, b = 7.5396 Å, c = 5.0229 Å
α = 90.00°, β = 90.00°, γ = 155.81°
Element x y z (fractional)
1 Li 0.4686 0.5314 0.9856
2 Li 0.5314 0.4686 0.4856
3 Fe 0.8318 0.1682 0.5167
4 Fe 0.1682 0.8318 0.0167
5 F 0.7292 0.2708 0.2429
6 F 0.2708 0.7292 0.7429
7 F 0.9390 0.0610 0.7689
8 F 0.0610 0.9390 0.2689
9 F 0.5971 0.4029 0.8167
10 F 0.4029 0.5971 0.3167

Values from the calculation:
E = -5.293 eV/atom


Magnetic moment / μB/cell: 5.00 0.00 32.00 5.00 60.04 8.00